Record 1
First-principles (GGA+U) data for a geometry-optimized LiMn3F10 structure, as listed in Materials Project.

a = 6.167 Å, b = 8.076 Å, c = 9.624 Å
α = 110.20°, β = 108.62°, γ = 91.61°
Fractional positions:
Li 0.191 0.021 0.382
Li 0.809 0.979 0.618
Mn 0.247 0.502 0.001
Mn 0.314 0.487 0.630
Mn 0.419 0.011 0.836
Mn 0.581 0.989 0.164
Mn 0.686 0.513 0.370
Mn 0.753 0.498 0.999
F 0.000 0.500 0.500
F 0.002 0.674 0.045
F 0.134 0.027 0.705
F 0.156 0.475 0.787
F 0.267 0.242 0.541
F 0.301 0.999 0.999
F 0.367 0.735 0.730
F 0.369 0.521 0.211
F 0.427 0.972 0.296
F 0.497 0.317 0.953
F 0.500 0.500 0.500
F 0.503 0.683 0.047
F 0.573 0.028 0.704
F 0.631 0.479 0.789
F 0.633 0.265 0.270
F 0.699 0.001 0.001
F 0.733 0.758 0.459
F 0.844 0.525 0.213
F 0.866 0.973 0.295
F 0.998 0.326 0.955

Properties
The formation energy comes out at -2782.2 meV per atom. The value obtained for the density is 2.853 g/cm3. Its total energy is -155.7 eV/cell.

***

Record 2
First-principles (GGA+U) data for a geometry-optimized LiMn2F5 structure, as listed in Materials Project.

a = 9.130 Å, b = 6.951 Å, c = 6.505 Å
α = 90.00°, β = 96.30°, γ = 90.00°
Fractional positions:
Li 0.197 0.111 0.017
Li 0.197 0.389 0.517
Li 0.803 0.611 0.483
Li 0.803 0.889 0.983
Mn 0.145 0.640 0.025
Mn 0.145 0.860 0.525
Mn 0.474 0.631 0.753
Mn 0.474 0.869 0.253
Mn 0.526 0.131 0.747
Mn 0.526 0.369 0.247
Mn 0.855 0.140 0.475
Mn 0.855 0.360 0.975
F 0.091 0.161 0.511
F 0.091 0.339 0.011
F 0.136 0.600 0.348
F 0.136 0.900 0.848
F 0.249 0.568 0.740
F 0.249 0.932 0.240
F 0.392 0.595 0.120
F 0.392 0.905 0.620
F 0.414 0.165 0.024
F 0.414 0.335 0.524
F 0.586 0.665 0.476
F 0.586 0.835 0.976
F 0.608 0.095 0.380
F 0.608 0.405 0.880
F 0.751 0.068 0.760
F 0.751 0.432 0.260
F 0.864 0.100 0.152
F 0.864 0.400 0.652
F 0.909 0.661 0.989
F 0.909 0.839 0.489

Properties
The formation energy comes out at -2959.5 meV per atom. The value obtained for the density is 3.429 g/cm3. As for the excess energy over the best structure of this formula in the dataset: 0.0250 eV/atom. Its total energy is -191.3 eV/cell.

***

Record 3
First-principles (GGA+U) data for a geometry-optimized LiMn2F5 structure, as listed in Materials Project.

a = 6.504 Å, b = 8.005 Å, c = 8.957 Å
α = 106.35°, β = 91.06°, γ = 101.27°
Fractional positions:
Li 0.212 0.446 0.286
Li 0.215 0.159 0.818
Li 0.785 0.841 0.182
Li 0.788 0.554 0.714
Mn 0.152 0.787 0.533
Mn 0.186 0.794 0.042
Mn 0.380 0.567 0.825
Mn 0.387 0.120 0.360
Mn 0.613 0.880 0.640
Mn 0.620 0.433 0.175
Mn 0.814 0.206 0.958
Mn 0.848 0.213 0.467
F 0.005 0.232 0.766
F 0.005 0.268 0.244
F 0.206 0.564 0.531
F 0.213 0.041 0.566
F 0.218 0.572 0.052
F 0.232 0.036 0.055
F 0.376 0.816 0.809
F 0.380 0.869 0.366
F 0.401 0.352 0.333
F 0.402 0.349 0.891
F 0.598 0.651 0.109
F 0.599 0.648 0.667
F 0.620 0.131 0.634
F 0.624 0.184 0.191
F 0.768 0.964 0.945
F 0.782 0.428 0.948
F 0.787 0.959 0.434
F 0.794 0.436 0.469
F 0.995 0.732 0.756
F 0.995 0.768 0.234

Properties
The formation energy comes out at -2493.2 meV per atom. The value obtained for the density is 3.216 g/cm3. As for the excess energy over the best structure of this formula in the dataset: 0.4912 eV/atom. Its total energy is -176.4 eV/cell.

***

Record 4
First-principles (GGA+U) data for a geometry-optimized LiMnF5 structure, as listed in Materials Project.

a = 6.833 Å, b = 7.090 Å, c = 3.790 Å
α = 90.00°, β = 90.00°, γ = 90.00°
Fractional positions:
Li 0.250 0.250 0.037
Li 0.750 0.750 0.963
Mn 0.250 0.750 0.241
Mn 0.750 0.250 0.759
F 0.013 0.250 0.761
F 0.250 0.005 0.248
F 0.250 0.495 0.248
F 0.250 0.750 0.744
F 0.487 0.250 0.761
F 0.513 0.750 0.239
F 0.750 0.250 0.256
F 0.750 0.505 0.752
F 0.750 0.995 0.752
F 0.987 0.750 0.239

Properties
The formation energy comes out at -2676.5 meV per atom. The value obtained for the density is 2.837 g/cm3. As for the excess energy over the best structure of this formula in the dataset: 0.0070 eV/atom. Its total energy is -70.8 eV/cell.

***

Record 5
First-principles (GGA+U) data for a geometry-optimized Li3MnF6 structure, as listed in Materials Project.

a = 5.120 Å, b = 5.214 Å, c = 9.166 Å
α = 90.00°, β = 121.82°, γ = 90.00°
Fractional positions:
Li 0.000 0.000 0.000
Li 0.000 0.500 0.500
Li 0.232 0.037 0.750
Li 0.232 0.463 0.250
Li 0.768 0.537 0.750
Li 0.768 0.963 0.250
Mn 0.500 0.000 0.500
Mn 0.500 0.500 0.000
F 0.119 0.095 0.250
F 0.119 0.405 0.750
F 0.252 0.667 0.070
F 0.252 0.833 0.570
F 0.420 0.187 0.073
F 0.420 0.313 0.573
F 0.580 0.687 0.427
F 0.580 0.813 0.927
F 0.748 0.167 0.430
F 0.748 0.333 0.930
F 0.881 0.595 0.250
F 0.881 0.905 0.750

Properties
The formation energy comes out at -3000.8 meV per atom. The value obtained for the density is 3.031 g/cm3. As for the excess energy over the best structure of this formula in the dataset: 0.0271 eV/atom. Its total energy is -103.9 eV/cell.

***

Record 6
First-principles (GGA+U) data for a geometry-optimized LiMn2F7 structure, as listed in Materials Project.

a = 13.149 Å, b = 5.034 Å, c = 7.500 Å
α = 90.00°, β = 96.40°, γ = 90.00°
Fractional positions:
Li 0.079 0.241 0.337
Li 0.079 0.259 0.837
Li 0.921 0.741 0.163
Li 0.921 0.759 0.663
Mn 0.179 0.748 0.651
Mn 0.179 0.752 0.151
Mn 0.391 0.246 0.222
Mn 0.391 0.254 0.722
Mn 0.609 0.746 0.278
Mn 0.609 0.754 0.778
Mn 0.821 0.248 0.849
Mn 0.821 0.252 0.349
F 0.054 0.564 0.186
F 0.054 0.936 0.686
F 0.108 0.051 0.069
F 0.108 0.449 0.569
F 0.173 0.588 0.903
F 0.173 0.912 0.403
F 0.254 0.043 0.745
F 0.254 0.457 0.245
F 0.312 0.554 0.642
F 0.312 0.946 0.142
F 0.389 0.139 0.472
F 0.389 0.361 0.972
F 0.473 0.537 0.297
F 0.473 0.963 0.797
F 0.527 0.037 0.203
F 0.527 0.463 0.703
F 0.611 0.639 0.028
F 0.611 0.861 0.528
F 0.688 0.054 0.858
F 0.688 0.446 0.358
F 0.746 0.543 0.755
F 0.746 0.957 0.255
F 0.827 0.088 0.597
F 0.827 0.412 0.097
F 0.892 0.551 0.431
F 0.892 0.949 0.931
F 0.946 0.064 0.314
F 0.946 0.436 0.814

Properties
The formation energy comes out at -2843.7 meV per atom. The value obtained for the density is 3.363 g/cm3. As for the excess energy over the best structure of this formula in the dataset: 0.0060 eV/atom. Its total energy is -222.0 eV/cell.

***

Values of V, in order: 15.04, 12.82, 13.67, 13.12, 10.40, 12.33, all in A^3/atom.